# 1
First-principles (PBE) data for an optimized crystal structure of TlGeS2, as listed in the Materials Project.

The value obtained for the formation energy is -643 meV per atom.

The space group is Pnma (No. 62) and the conventional cell measures 9.2632, 6.7434 and 14.5313 Å, with angles of 90.00, 90.00 and 90.00 degrees. The asymmetric unit holds Tl at (0.0169, 0.2500, 0.1227), Tl at (0.1414, 0.7500, 0.3183), Ge at (0.0843, 0.7500, 0.5428), Ge at (0.2436, 0.2500, 0.5732), S at (0.0217, 0.7500, 0.0868), S at (0.1443, 0.5049, 0.6544) and S at (0.1711, 0.2500, 0.4257).


# 2
First-principles (PBE) data for an optimized crystal structure of LiTbGe, as listed in the Materials Project.

The value obtained for the formation energy is -714 meV per atom.

The space group is P-62m (No. 189) and the conventional cell measures 7.0904, 7.0904 and 4.2932 Å, with angles of 90.00, 90.00 and 120.00 degrees. The asymmetric unit holds Li at (0.0000, 0.2347, 0.0000), Tb at (0.0000, 0.5790, 0.5000), Ge at (0.0000, 0.0000, 0.5000) and Ge at (0.3333, 0.6667, 0.0000).


# 3
First-principles (PBE) data for an optimized crystal structure of VCu3PbSe4, as listed in the Materials Project.

The value obtained for the formation energy is -435 meV per atom.

The space group is P-43m (No. 215) and the conventional cell measures 6.0409, 6.0409 and 6.0409 Å, with angles of 90.00, 90.00 and 90.00 degrees. The asymmetric unit holds V at (0.0000, 0.0000, 0.0000), Cu at (0.0000, 0.0000, 0.5000), Pb at (0.5000, 0.5000, 0.5000) and Se at (0.2275, 0.2275, 0.2275).


# 4
First-principles (PBE) data for an optimized crystal structure of CeCuGe, as listed in the Materials Project.

The value obtained for the formation energy is -584 meV per atom.

The space group is P6_3/mmc (No. 194) and the conventional cell measures 4.2760, 4.2760 and 7.8120 Å, with angles of 90.00, 90.00 and 120.00 degrees. The asymmetric unit holds Ce at (0.0000, 0.0000, 0.0000), Cu at (0.3333, 0.6667, 0.2500) and Ge at (0.3333, 0.6667, 0.7500).


# 5
First-principles (PBE) data for an optimized crystal structure of Dy7Te2Ir2, as listed in the Materials Project.

The value obtained for the formation energy is -920 meV per atom.

The space group is Imm2 (No. 44) and the conventional cell measures 3.9547, 15.8309 and 9.4552 Å, with angles of 90.00, 90.00 and 90.00 degrees. The asymmetric unit holds Dy at (0.0000, 0.0000, 0.0000), Dy at (0.0000, 0.1313, 0.4172), Dy at (0.0000, 0.3163, 0.6261), Dy at (0.0000, 0.3522, 0.2659), Te at (0.0000, 0.0000, 0.6644), Te at (0.0000, 0.5000, 0.7635) and Ir at (0.0000, 0.2390, 0.9290).


# 6
First-principles (PBE) data for an optimized crystal structure of Ho2MgS4, as listed in the Materials Project.

The value obtained for the energy above the most stable polymorph in this dataset is 18.8 meV/atom. The value obtained for the formation energy is -2156 meV per atom.

The space group is Pnma (No. 62) and the conventional cell measures 13.4738, 7.8679 and 6.5122 Å, with angles of 90.00, 90.00 and 90.00 degrees. The asymmetric unit holds Ho at (0.0000, 0.0000, 0.0000), Ho at (0.2322, 0.2500, 0.4993), Mg at (0.0925, 0.7500, 0.5747), S at (0.0711, 0.2500, 0.2513), S at (0.0921, 0.7500, 0.2070) and S at (0.1683, 0.5086, 0.7567).